(1)
First-principles (GGA-PBE) data for a relaxed Na6La2Nb6Si9S3O48 crystal, as listed in Materials Project.

## Properties
ΔE_f ... -212.00 eV per formula unit
Density ... 3.1 g cm⁻³
Spin magnetization ... 0.00 μB/atom
Space group ... P1

Cell: 18.193 9.154 23.110 Å, 90.12 89.76 120.14°
Sites, in units of the cell vectors:
O: 0.595 0.489 0.253
S: 0.333 0.024 0.082
O: 0.009 0.824 0.411
O: 0.256 0.870 0.361
O: 0.488 0.164 0.585
La: 0.001 0.001 0.862
O: 0.418 0.316 0.528
O: 0.251 0.846 0.467
Na: 0.844 0.359 0.338
O: 0.075 0.481 0.570
O: 0.089 0.005 0.308
O: 0.156 0.479 0.469
O: 0.904 0.968 0.694
La: 0.500 0.002 0.362
O: 0.566 0.636 0.356
O: 0.736 0.337 0.753
O: 0.181 0.500 0.358
O: 0.082 0.506 0.968
O: 0.656 0.831 0.970
O: 0.908 0.984 0.408
Si: 0.020 0.655 0.418
O: 0.964 0.557 0.135
S: 0.834 0.641 0.581
Na: 0.824 0.631 0.755
O: 0.584 0.708 0.757
La: 0.342 0.338 0.676
O: 0.749 0.857 0.360
Si: 0.683 0.335 0.083
O: 0.083 0.978 0.194
O: 0.750 0.137 0.925
Si: 0.017 0.388 0.917
Nb: 0.169 0.683 0.817
O: 0.167 0.841 0.568
S: 0.299 0.955 0.418
Si: 0.356 0.992 0.753
O: 0.513 0.816 0.701
O: 0.229 0.082 0.645
O: 0.755 0.840 0.065
Si: 0.180 0.336 0.081
O: 0.591 0.975 0.195
O: 0.760 0.703 0.258
O: 0.235 0.311 0.027
O: 0.006 0.206 0.925
O: 0.845 0.546 0.535
O: 0.915 0.829 0.309
O: 0.015 0.835 0.692
S: 0.504 0.726 0.755
O: 0.384 0.975 0.421
O: 0.465 0.393 0.640
O: 0.079 0.681 0.069
O: 0.181 0.870 0.862
O: 0.318 0.075 0.139
O: 0.253 0.359 0.425
O: 0.261 0.818 0.760
O: 0.079 0.686 0.473
Nb: 0.831 0.309 0.477
Si: 0.677 0.382 0.423
O: 0.928 0.487 0.426
O: 0.412 0.521 0.031
O: 0.307 0.525 0.640
S: 0.145 0.303 0.747
O: 0.806 0.487 0.923
O: 0.737 0.166 0.528
O: 0.065 0.496 0.857
Nb: 0.498 0.019 0.639
La: 0.839 0.343 0.178
O: 0.769 0.847 0.473
Nb: 0.669 0.654 0.319
O: 0.682 0.490 0.360
Nb: 0.657 0.661 0.022
O: 0.590 0.023 0.590
O: 0.848 0.163 0.027
O: 0.261 0.848 0.073
Si: 0.979 0.323 0.585
Nb: 0.497 0.002 0.144
O: 0.759 0.804 0.757
O: 0.423 0.469 0.423
O: 0.160 0.488 0.066
O: 0.249 0.639 0.859
Si: 0.183 0.030 0.583
Si: 0.664 0.946 0.915
Si: 0.332 0.638 0.583
Nb: 0.000 0.994 0.145
Si: 0.515 0.644 0.416
O: 0.338 0.149 0.756
O: 0.408 0.796 0.305
Na: 0.490 0.621 0.249
Na: 0.828 0.320 0.825
Si: 0.004 0.708 0.749
Na: 0.167 0.646 0.167
O: 0.583 0.190 0.693
O: 0.146 0.466 0.749
S: 0.991 0.646 0.079
O: 0.230 0.394 0.140
O: 0.580 0.657 0.467
O: 0.509 0.194 0.910
O: 0.932 0.309 0.252
Nb: 0.172 0.662 0.012
O: 0.916 0.812 0.583
O: 0.303 0.119 0.420
O: 0.609 0.013 0.300
O: 0.070 0.637 0.360
O: 0.752 0.656 0.968
Na: 0.504 0.995 0.999
Nb: 0.661 0.665 0.810
O: 0.583 0.977 0.908
Na: 0.509 0.997 0.501
Si: 0.350 0.710 0.250
Si: 0.680 0.027 0.581
O: 0.455 0.540 0.146
O: 0.239 0.171 0.532
Nb: 0.825 0.302 0.979
Na: 0.176 0.672 0.662
O: 0.084 0.191 0.407
O: 0.668 0.493 0.069
O: 0.664 0.840 0.564
O: 0.231 0.326 0.743
O: 0.109 0.207 0.801
S: 0.645 0.988 0.247
Na: 0.991 0.358 0.747
O: 0.092 0.981 0.928
O: 0.487 0.822 0.090
S: 0.800 0.643 0.919
O: 0.932 0.551 0.032
O: 0.742 0.311 0.032
O: 0.268 0.683 0.972
O: 0.812 0.097 0.138
O: 0.256 0.671 0.564
Nb: 0.157 0.651 0.521
O: 0.420 0.820 0.592
Na: 0.325 0.020 0.257
O: 0.091 0.209 0.696
O: 0.913 0.304 0.531
O: 0.515 0.196 0.191
Si: 0.812 0.953 0.416
O: 0.405 0.982 0.694
O: 0.013 0.204 0.198
O: 0.262 0.152 0.927
Na: 0.327 0.340 0.332
O: 0.730 0.069 0.640
O: 0.423 0.324 0.244
O: 0.820 0.563 0.639
O: 0.408 0.833 0.909
O: 0.430 0.553 0.757
O: 0.906 0.832 0.194
O: 0.921 0.018 0.092
Nb: 0.331 0.353 0.977
O: 0.956 0.371 0.646
O: 0.574 0.667 0.070
S: 0.006 0.284 0.253
Na: 0.188 0.004 0.741
O: 0.176 0.853 0.976
Na: 0.008 0.020 0.000
Si: 0.833 0.026 0.082
O: 0.838 0.152 0.746
Si: 0.638 0.290 0.752
O: 0.590 0.157 0.088
La: 0.823 0.315 0.677
O: 0.987 0.152 0.590
O: 0.001 0.187 0.305
O: 0.086 0.456 0.255
Si: 0.175 0.968 0.923
O: 0.579 0.472 0.973
O: 0.502 0.815 0.807
La: 0.322 0.331 0.178
Si: 0.856 0.721 0.254
O: 0.757 0.635 0.862
O: 0.141 0.804 0.259
O: 0.589 0.172 0.809
O: 0.236 0.133 0.252
O: 0.646 0.827 0.248
O: 0.763 0.676 0.573
O: 0.992 0.795 0.805
O: 0.570 0.504 0.861
Na: 0.687 0.376 0.245
O: 0.349 0.535 0.528
Si: 0.314 0.669 0.913
O: 0.095 0.703 0.754
Na: 0.003 0.011 0.501
O: 0.681 0.860 0.858
O: 0.820 0.142 0.422
Nb: 0.997 0.991 0.644
O: 0.507 0.809 0.424
Si: 0.139 0.983 0.253
O: 0.321 0.497 0.921
O: 0.259 0.715 0.255
Si: 0.478 0.633 0.085
O: 0.840 0.530 0.254
Si: 0.850 0.991 0.751
Si: 0.521 0.384 0.918
O: 0.731 0.137 0.242
O: 0.089 0.019 0.589
O: 0.089 0.157 0.091
Si: 0.505 0.302 0.248
O: 0.907 0.022 0.806
O: 0.586 0.492 0.567
Na: 0.673 0.674 0.165
O: 0.415 0.000 0.809
O: 0.343 0.141 0.035
Na: 0.655 0.672 0.660
Si: 0.169 0.379 0.416
O: 0.404 0.840 0.193
O: 0.493 0.190 0.304
Nb: 0.163 0.658 0.313
O: 0.764 0.371 0.426
O: 0.642 0.475 0.760
Na: 0.344 0.329 0.834
Nb: 0.002 0.986 0.361
Nb: 0.502 0.018 0.859
Nb: 0.666 0.671 0.514
O: 0.414 0.016 0.083
O: 0.679 0.504 0.473
Nb: 0.333 0.346 0.484
Si: 0.488 0.346 0.579
O: 0.338 0.525 0.246
O: 0.593 0.203 0.427
O: 0.923 0.521 0.745
O: 0.924 0.381 0.927
O: 0.730 0.375 0.145
O: 0.428 0.366 0.927
O: 0.886 0.793 0.922
O: 0.993 0.813 0.084

---

(2)
First-principles (GGA-PBE) data for a relaxed Na10La6Nb2Si7S5O48 crystal, as listed in Materials Project.

## Properties
ΔE_f ... -220.05 eV per formula unit
Density ... 3.1 g cm⁻³
Spin magnetization ... 0.00 μB/atom
Space group ... P1

Cell: 19.071 9.573 23.998 Å, 90.01 90.16 120.14°
Sites, in units of the cell vectors:
O: 0.494 0.163 0.589
La: 0.006 0.012 0.848
O: 0.146 0.835 0.584
O: 0.445 0.303 0.530
S: 0.167 0.963 0.919
Na: 0.484 0.984 0.497
O: 0.223 0.280 0.039
La: 0.161 0.648 0.810
S: 0.855 0.722 0.247
O: 0.555 0.649 0.366
Nb: 0.508 0.984 0.651
O: 0.220 0.345 0.148
O: 0.895 0.007 0.812
O: 0.167 0.455 0.467
O: 0.253 0.653 0.585
La: 0.828 0.335 0.991
O: 0.272 0.880 0.464
O: 0.740 0.149 0.245
O: 0.853 0.134 0.029
O: 0.940 0.293 0.535
Si: 0.840 0.651 0.590
Na: 0.171 0.648 0.165
O: 0.085 0.148 0.095
La: 0.832 0.340 0.183
O: 0.074 0.696 0.080
O: 0.866 0.589 0.533
O: 0.770 0.868 0.463
O: 0.405 0.983 0.700
O: 0.491 0.816 0.095
O: 0.086 0.984 0.196
S: 0.501 0.289 0.244
Na: 0.679 0.674 0.161
S: 0.002 0.715 0.744
O: 0.754 0.855 0.085
Na: 0.312 0.999 0.242
O: 0.005 0.816 0.695
O: 0.773 0.890 0.361
O: 0.240 0.141 0.243
La: 0.178 0.694 0.516
O: 0.438 0.583 0.035
O: 0.353 0.563 0.537
O: 0.575 0.450 0.239
O: 0.000 0.198 0.921
Na: 0.667 0.057 0.415
O: 0.419 0.832 0.605
O: 0.520 0.836 0.697
S: 0.009 0.362 0.918
La: 0.674 0.658 0.018
O: 0.428 0.356 0.909
O: 0.309 0.147 0.407
O: 0.099 0.211 0.413
Si: 0.518 0.377 0.915
Nb: 0.496 0.984 0.154
Si: 0.668 0.312 0.086
O: 0.596 0.711 0.760
La: 0.500 0.990 0.347
O: 0.995 0.827 0.091
Na: 0.818 0.023 0.239
Si: 0.649 0.991 0.250
O: 0.324 0.516 0.246
Si: 0.017 0.661 0.414
O: 0.716 0.141 0.531
Si: 0.813 0.659 0.908
O: 0.952 0.565 0.135
O: 0.572 0.454 0.584
O: 0.245 0.366 0.412
O: 0.673 0.484 0.367
O: 0.911 0.832 0.204
O: 0.902 0.820 0.905
O: 0.324 0.106 0.148
O: 0.897 0.978 0.416
Na: 0.991 0.984 0.001
O: 0.157 0.467 0.080
O: 0.256 0.705 0.252
O: 0.572 0.693 0.080
Si: 0.337 0.647 0.592
La: 0.661 0.656 0.310
O: 0.777 0.722 0.241
O: 0.585 0.188 0.696
O: 0.403 0.824 0.197
O: 0.499 0.214 0.298
O: 0.150 0.823 0.256
O: 0.988 0.190 0.303
O: 0.920 0.836 0.601
Si: 0.006 0.312 0.253
O: 0.724 0.106 0.642
La: 0.329 0.339 0.180
S: 0.170 0.380 0.413
Si: 0.168 0.024 0.585
O: 0.506 0.803 0.418
O: 0.323 0.512 0.916
La: 0.830 0.317 0.682
La: 0.338 0.321 0.983
O: 0.739 0.340 0.743
O: 0.156 0.485 0.741
O: 0.929 0.553 0.740
O: 0.368 0.162 0.040
O: 0.823 0.129 0.418
Na: 0.488 0.289 0.423
Na: 0.812 0.626 0.742
La: 0.499 0.002 0.851
O: 0.011 0.827 0.412
Si: 0.675 0.024 0.585
O: 0.420 0.007 0.101
O: 0.611 0.192 0.807
O: 0.758 0.809 0.753
O: 0.644 0.454 0.085
Nb: 0.008 0.032 0.151
Na: 0.659 0.334 0.579
Na: 0.668 0.992 0.089
Si: 0.178 0.323 0.088
La: 0.170 0.658 0.021
O: 0.085 0.184 0.694
Na: 0.506 0.311 0.074
Si: 0.667 0.366 0.420
O: 0.170 0.472 0.364
O: 0.825 0.130 0.748
O: 0.658 0.829 0.240
O: 0.660 0.448 0.479
O: 0.073 0.453 0.580
Na: 0.999 0.986 0.503
Na: 0.183 0.370 0.247
O: 0.807 0.481 0.909
Si: 0.314 0.979 0.407
Na: 0.323 0.619 0.741
S: 0.672 0.962 0.914
O: 0.926 0.341 0.916
Na: 0.840 0.345 0.332
O: 0.434 0.504 0.420
Si: 0.149 0.305 0.747
O: 0.430 0.528 0.744
O: 0.581 0.986 0.200
O: 0.242 0.125 0.915
O: 0.751 0.121 0.914
O: 0.095 0.482 0.260
S: 0.353 0.987 0.745
O: 0.605 0.999 0.912
O: 0.756 0.655 0.586
La: 0.005 0.008 0.348
Na: 0.327 0.342 0.334
Na: 0.163 0.990 0.086
O: 0.580 0.500 0.860
O: 0.444 0.330 0.631
Na: 0.833 0.337 0.835
Na: 0.168 0.345 0.590
O: 0.164 0.865 0.870
O: 0.648 0.473 0.756
La: 0.332 0.327 0.683
O: 0.428 0.302 0.241
Na: 0.487 0.009 0.999
O: 0.828 0.124 0.141
O: 0.019 0.204 0.197
La: 0.837 0.349 0.486
O: 0.586 0.184 0.417
O: 0.665 0.878 0.967
S: 0.317 0.661 0.915
O: 0.114 0.029 0.307
O: 0.077 0.703 0.742
S: 0.514 0.656 0.418
Nb: 0.163 0.688 0.309
Si: 0.838 0.030 0.088
O: 0.613 0.994 0.311
O: 0.996 0.789 0.796
O: 0.054 0.454 0.968
O: 0.490 0.793 0.804
O: 0.252 0.854 0.353
O: 0.929 0.333 0.242
La: 0.670 0.671 0.522
O: 0.561 0.462 0.974
S: 0.988 0.320 0.586
O: 0.908 0.983 0.702
Na: 0.851 0.651 0.413
S: 0.487 0.312 0.584
O: 0.452 0.551 0.135
O: 0.395 0.786 0.306
Si: 0.507 0.704 0.753
O: 0.241 0.335 0.745
O: 0.888 0.781 0.304
O: 0.521 0.209 0.913
Na: 0.684 0.998 0.749
O: 0.771 0.685 0.962
La: 0.324 0.332 0.492
O: 0.585 0.023 0.595
O: 0.919 0.007 0.104
O: 0.562 0.666 0.467
Na: 0.671 0.695 0.663
O: 0.842 0.558 0.242
Si: 0.339 0.030 0.092
O: 0.407 0.019 0.405
Nb: 0.662 0.636 0.809
O: 0.580 0.139 0.099
Na: 0.663 0.311 0.916
O: 0.106 0.216 0.804
S: 0.816 0.968 0.414
Si: 0.846 0.986 0.755
O: 0.270 0.664 0.963
Na: 0.847 0.008 0.919
O: 0.255 0.860 0.080
O: 0.952 0.352 0.634
Si: 0.344 0.702 0.251
S: 0.989 0.664 0.086
O: 0.751 0.651 0.853
O: 0.325 0.540 0.647
O: 0.926 0.505 0.409
O: 0.734 0.343 0.133
O: 0.339 0.123 0.741
O: 0.169 0.883 0.971
Na: 0.343 0.341 0.832
O: 0.063 0.669 0.472
O: 0.080 0.664 0.360
O: 0.399 0.807 0.919
Na: 0.007 0.703 0.576
O: 0.274 0.829 0.743
O: 0.053 0.449 0.867
O: 0.673 0.869 0.864
Na: 0.165 0.018 0.418
O: 0.654 0.838 0.583
O: 0.079 0.016 0.599
Nb: 0.997 0.007 0.654
O: 0.702 0.277 0.026
O: 0.234 0.127 0.633
Si: 0.147 0.998 0.249
O: 0.941 0.584 0.035
O: 0.200 0.129 0.526
O: 0.391 0.998 0.800
O: 0.992 0.166 0.595
Si: 0.645 0.292 0.750
Na: 0.181 0.692 0.659
O: 0.751 0.353 0.419
O: 0.276 0.663 0.862
O: 0.094 0.980 0.920
O: 0.832 0.537 0.642
S: 0.487 0.655 0.086
O: 0.501 0.185 0.197

---

What V values result from the calculations? In sequence: 14.99, 16.19 A^3/atom.